# 1
The following is a PBE calculation of a relaxed ZrN2 crystal, from the Materials Project.

Results
V in Å³/atom: 11.966
Calculated formation energy in meV per atom: -470.7
Space-group type: No. 139

Cell lengths 3.8271, 3.8271, 3.8271 Å; angles 125.40, 125.40, 80.88 degrees
Fractional positions:
N (0.7500, 0.2500, 0.5000)
N (0.2500, 0.7500, 0.5000)
Zr (0.5000, 0.5000, 0.0000)

---

# 2
The following is a PBE calculation of a relaxed CeNiSn crystal, from the Materials Project.

Results
V in Å³/atom: 21.379
Calculated formation energy in meV per atom: -591.5
Space-group type: No. 62

Cell lengths 4.5839, 7.4050, 7.5580 Å; angles 90.00, 90.00, 90.00 degrees
Fractional positions:
Ni (0.7500, 0.7995, 0.0781)
Ni (0.2500, 0.7005, 0.5781)
Ni (0.7500, 0.2995, 0.4219)
Ni (0.2500, 0.2005, 0.9219)
Ce (0.7500, 0.5203, 0.8024)
Ce (0.7500, 0.0203, 0.6976)
Ce (0.2500, 0.9797, 0.3024)
Ce (0.2500, 0.4797, 0.1976)
Sn (0.7500, 0.6835, 0.4079)
Sn (0.2500, 0.3165, 0.5921)
Sn (0.2500, 0.8165, 0.9079)
Sn (0.7500, 0.1835, 0.0921)